An optimized crystal structure of Al2O3, computed with PBE.

Unit cell a=10.2192 b=10.3153 c=10.6857 alpha=91.09 beta=96.30 gamma=94.38
Closest atoms and distances in Å follow each position.
Positions (direct):
Al1 0.0000 0.0000 0.0000  4 O 1.74-1.87
Al2 0.0028 0.8362 0.6909  4 O 1.79-1.86
Al3 0.0244 0.5729 0.1053  5 O 1.79-2.00
Al4 0.0814 0.2368 0.7741  4 O 1.73-1.83
Al5 0.0997 0.0706 0.2783  4 O 1.76-1.87
Al6 0.1571 0.6958 0.8908  4 O 1.79-1.97
Al7 0.1596 0.5352 0.4608  4 O 1.75-1.85
Al8 0.1666 0.4112 0.9599  5 O 1.78-1.95
Al9 0.2217 0.8536 0.1383  4 O 1.77-1.86
Al10 0.2253 0.3837 0.2731  5 O 1.84-1.94
Al11 0.2270 0.8324 0.4306  4 O 1.72-1.86
Al12 0.2442 0.0936 0.5754  5 O 1.77-1.95
Al13 0.2722 0.4758 0.7171  4 O 1.69-1.89
Al14 0.3016 0.1236 0.1178  4 O 1.77-1.82
Al15 0.3365 0.8983 0.7326  3 O 1.73-1.92
Al16 0.4476 0.6390 0.3372  5 O 1.85-1.93
Al17 0.4649 0.1677 0.3689  5 O 1.80-1.94
Al18 0.4691 0.1266 0.8652  4 O 1.77-1.89
Al19 0.4714 0.4019 0.4971  3 O 1.71-1.84
Al20 0.4818 0.9080 0.2991  5 O 1.83-1.96
Al21 0.4918 0.5734 0.0350  4 O 1.74-1.82
Al22 0.5110 0.8726 0.0250  4 O 1.74-1.83
Al23 0.5298 0.1742 0.6463  4 O 1.78-1.85
Al24 0.5718 0.7294 0.7865  3 O 1.70-1.82
Al25 0.5947 0.4364 0.2787  4 O 1.74-1.91
Al26 0.6078 0.1614 0.1225  4 O 1.70-1.89
Al27 0.6368 0.4218 0.8201  4 O 1.78-1.83
Al28 0.7198 0.7800 0.4180  4 O 1.75-1.86
Al29 0.7415 0.1580 0.3692  3 O 1.83-1.96
Al30 0.7533 0.6289 0.6063  3 O 1.76-1.90
Al31 0.7660 0.4588 0.0466  5 O 1.81-2.01
Al32 0.7689 0.9921 0.7882  4 O 1.75-1.84
Al33 0.8024 0.9905 0.2197  3 O 1.79-1.92
Al34 0.8168 0.3132 0.5621  4 O 1.77-1.88
Al35 0.8518 0.7284 0.8891  4 O 1.74-1.92
Al36 0.8745 0.2589 0.9725  4 O 1.81-1.90
Al37 0.9042 0.4382 0.2849  5 O 1.83-1.94
Al38 0.9580 0.7367 0.3817  4 O 1.78-1.89
Al39 0.9692 0.0451 0.5555  5 O 1.79-1.97
Al40 0.9726 0.4958 0.7170  4 O 1.80-1.92
O1 0.0531 0.2592 0.9391  3 Al 1.83-1.90
O2 0.0660 0.5345 0.8756  3 Al 1.84-1.88
O3 0.0788 0.4042 0.3606  3 Al 1.80-1.94
O4 0.1003 0.1005 0.4407  2 Al 1.76-1.95
O5 0.1098 0.1141 0.6701  3 Al 1.73-1.87
O6 0.1204 0.6970 0.4509  3 Al 1.74-1.82
O7 0.1242 0.5175 0.6260  3 Al 1.79-1.92
O8 0.1490 0.7090 0.0591  3 Al 1.77-1.93
O9 0.1542 0.9011 0.2819  3 Al 1.82-1.87
O10 0.1692 0.8180 0.7746  3 Al 1.79-1.94
O11 0.1737 0.4571 0.1223  2 Al 1.78-1.84
O12 0.1818 0.9995 0.0462  3 Al 1.80-1.87
O13 0.1902 0.2068 0.2063  3 Al 1.81-1.94
O14 0.2266 0.3458 0.8139  3 Al 1.78-1.87
O15 0.2652 0.9247 0.5674  3 Al 1.72-1.87
O16 0.2981 0.5389 0.3699  3 Al 1.80-1.94
O17 0.3094 0.6080 0.8433  1 O 1.53
O18 0.3220 0.5332 0.9653  1 O 1.53
O19 0.3572 0.0851 0.7288  3 Al 1.77-1.92
O20 0.3716 0.7918 0.3734  3 Al 1.74-1.86
O21 0.3802 0.4451 0.6137  2 Al 1.69-1.71
O22 0.3813 0.0530 0.2528  3 Al 1.77-1.92
O23 0.3909 0.3253 0.3482  3 Al 1.84-1.94
O24 0.3944 0.1600 0.5179  3 Al 1.81-1.83
O25 0.3947 0.8438 0.1350  3 Al 1.77-1.96
O26 0.4291 0.7693 0.7041  2 Al 1.70-1.73
O27 0.4403 0.1728 0.0311  3 Al 1.82-1.89
O28 0.4400 0.9529 0.8964  2 Al 1.74-1.84
O29 0.4764 0.5386 0.1925  3 Al 1.75-1.91
O30 0.5264 0.2796 0.7881  3 Al 1.78-1.88
O31 0.5418 0.7194 0.9647  3 Al 1.76-1.97
O32 0.5666 0.5255 0.4238  3 Al 1.79-1.93
O33 0.5822 0.7683 0.3049  3 Al 1.75-1.91
O34 0.5863 0.0408 0.3934  3 Al 1.87-1.96
O35 0.5909 0.2515 0.2671  3 Al 1.82-1.94
O36 0.5974 0.4704 0.9734  3 Al 1.74-1.83
O37 0.6135 0.2915 0.5475  3 Al 1.84-2.06
O38 0.6252 0.0689 0.7421  2 Al 1.75-1.78
O39 0.6370 0.9836 0.1139  3 Al 1.83-1.92
O40 0.6435 0.5806 0.7458  3 Al 1.82-2.01
O41 0.6762 0.7742 0.5734  2 Al 1.77
O42 0.7207 0.8308 0.8419  3 Al 1.80-1.82
O43 0.7236 0.2460 0.0466  2 Al 1.70-1.81
O44 0.7368 0.4808 0.2094  3 Al 1.74-1.90
O45 0.8009 0.3870 0.8779  2 Al 1.79-1.84
O46 0.8154 0.4749 0.6215  3 Al 1.76-1.80
O47 0.8205 0.3333 0.3930  3 Al 1.83-1.92
O48 0.8285 0.6509 0.4527  3 Al 1.78-1.90
O49 0.8289 0.1386 0.5254  3 Al 1.79-1.85
O50 0.8369 0.8518 0.3117  3 Al 1.79-1.89
O51 0.8625 0.6157 0.0099  3 Al 1.75-1.93
O52 0.8668 0.0843 0.9201  3 Al 1.81-1.87
O53 0.9031 0.9703 0.7022  3 Al 1.76-1.93
O54 0.9117 0.6826 0.7315  4 Al 1.86-2.08
O55 0.9277 0.3992 0.1105  4 Al 1.87-2.05
O56 0.9593 0.0293 0.1582  3 Al 1.81-1.84
O57 0.9585 0.3176 0.6908  3 Al 1.73-1.88
O58 0.9748 0.6112 0.2565  3 Al 1.79-1.92
O59 0.9820 0.8466 0.9264  2 Al 1.74
O60 0.9916 0.8722 0.5243  3 Al 1.82-2.03

Properties
As for the formation energy: -3.0097 eV/atom. Its calculated density is 3.03 g/cm3. As for the crystal system: triclinic. The calculated total energy comes out at -719.77 eV for the cell shown. As for the space group: P1 (1).

***

An optimized crystal structure of La2Hf2O7, computed with PBE.

Unit cell a=8.0876 b=5.7453 c=13.8155 alpha=90.00 beta=98.46 gamma=90.00
Closest atoms and distances in Å follow each position.
Positions (direct):
La1 0.1435 0.0000 0.0686  6 O 2.39-2.56
La2 0.2279 0.4290 0.4044  4 O 2.38-2.50
La3 0.2822 0.9201 0.6223  8 O 2.47-2.63
La4 0.3558 0.4423 0.9009  5 O 2.42-2.59
La5 0.6442 0.9423 0.0991  5 O 2.42-2.59
La6 0.7178 0.4201 0.3777  8 O 2.47-2.63
La7 0.7721 0.9290 0.5956  4 O 2.38-2.50
La8 0.8565 0.5000 0.9314  6 O 2.39-2.56
Hf1 0.0301 0.4341 0.6142  6 O 2.00-2.23
Hf2 0.0766 0.9438 0.8175  6 O 2.01-2.19
Hf3 0.4161 0.4520 0.1785  5 O 1.98-2.17
Hf4 0.4731 0.9347 0.3837  5 O 2.00-2.12
Hf5 0.5269 0.4347 0.6163  5 O 2.00-2.12
Hf6 0.5839 0.9520 0.8215  5 O 1.98-2.17
Hf7 0.9234 0.4438 0.1825  6 O 2.01-2.19
Hf8 0.9699 0.9341 0.3858  6 O 2.00-2.23
O1 0.0184 0.1154 0.6792  2 Hf 2.05-2.14
O2 0.0470 0.7192 0.5195  2 Hf 2.11-2.23
O3 0.0858 0.2186 0.9116  1 Hf 2.04
O4 0.1182 0.6462 0.7251  2 Hf 2.00-2.19
O5 0.1258 0.7252 0.9316  1 Hf 2.01
O6 0.1755 0.3606 0.1990  2 Hf 2.07-2.08
O7 0.2236 0.0044 0.3929  2 Hf 2.08
O8 0.2712 0.3454 0.5841  2 Hf 2.11
O9 0.3258 0.0303 0.8025  2 Hf 2.11-2.12
O10 0.3797 0.7501 0.1062  1 Hf 1.98
O11 0.4051 0.2431 0.0581  1 Hf 2.04
O12 0.4303 0.6130 0.3213  2 Hf 2.05-2.17
O13 0.4633 0.7179 0.5198  2 Hf 2.12-2.27
O14 0.4945 0.6467 0.7269  2 Hf 2.00-2.24
O15 0.5055 0.1467 0.2731  2 Hf 2.00-2.24
O16 0.5367 0.2179 0.4802  2 Hf 2.12-2.27
O17 0.5697 0.1130 0.6787  2 Hf 2.05-2.17
O18 0.5949 0.7431 0.9419  1 Hf 2.04
O19 0.6203 0.2501 0.8938  1 Hf 1.98
O20 0.6742 0.5303 0.1975  2 Hf 2.11-2.12
O21 0.7288 0.8454 0.4159  2 Hf 2.11
O22 0.7764 0.5044 0.6071  2 Hf 2.08
O23 0.8245 0.8606 0.8010  2 Hf 2.07-2.08
O24 0.8742 0.2252 0.0684  1 Hf 2.01
O25 0.8818 0.1462 0.2749  2 Hf 2.00-2.19
O26 0.9142 0.7186 0.0884  1 Hf 2.04
O27 0.9530 0.2192 0.4805  2 Hf 2.11-2.23
O28 0.9816 0.6154 0.3208  2 Hf 2.05-2.14

Properties
As for the formation energy: -4.0007 eV/atom. Its calculated density is 7.81 g/cm3. As for the crystal system: monoclinic. The calculated total energy comes out at -414.48 eV for the cell shown. As for the space group: P2_1 (4).

***

An optimized crystal structure of K2VAgSe4, computed with PBE.

Unit cell a=6.0278 b=7.4578 c=12.1620 alpha=84.25 beta=75.65 gamma=66.16
Closest atoms and distances in Å follow each position.
Positions (direct):
K1 0.0000 0.0000 0.0000  6 Se 3.37-3.61
K2 0.0984 0.4990 0.7715  7 Se 3.41-3.78
K3 0.3582 0.0037 0.2740  7 Se 3.39-3.77
K4 0.7409 0.4940 0.4996  6 Se 3.37-3.64
V1 0.1729 0.0033 0.6315  4 Se 2.30-2.40
V2 0.9312 0.4985 0.1372  4 Se 2.29-2.38
Ag1 0.4157 0.5061 0.1360  4 Se 2.54-2.68
Ag2 0.6693 0.0072 0.6341  4 Se 2.58-2.67
Se1 0.1263 0.7965 0.5146  1 V 2.34
Se2 0.2985 0.2902 0.0163  1 V 2.35
Se3 0.3311 0.2076 0.5162  1 V 2.30
Se4 0.4310 0.7975 0.7537  1 V 2.40, 1 Ag 2.64
Se5 0.6778 0.6982 0.0173  1 V 2.35
Se6 0.7546 0.2932 0.2546  1 V 2.38
Se7 0.8046 0.1992 0.7513  1 V 2.32, 1 Ag 2.58
Se8 0.9796 0.7019 0.2503  1 V 2.29, 1 Ag 2.54

Properties
As for the formation energy: -1.0833 eV/atom. Its calculated density is 3.79 g/cm3. As for the crystal system: triclinic. The energy above the most stable polymorph in this dataset comes out at 8 meV/atom. The calculated total energy comes out at -69.80 eV for the cell shown. As for the space group: P1 (1).